A plane-wave DFT calculation with GGA-PBE was carried out for BaCaSn4O12 after structural relaxation.

a b c (Å): 8.173 5.808 5.808
angles (deg): 89.95 90.00 90.00
Fractional coordinates of all 18 atoms:
1 Ba 0.000 0.000 0.000
2 Ca 0.500 0.465 0.465
3 Sn 0.254 0.491 0.978
4 Sn 0.254 0.978 0.491
5 Sn 0.746 0.491 0.978
6 Sn 0.746 0.978 0.491
7 O 0.000 0.506 0.968
8 O 0.000 0.968 0.506
9 O 0.243 0.257 0.257
10 O 0.254 0.215 0.758
11 O 0.254 0.758 0.215
12 O 0.300 0.696 0.696
13 O 0.500 0.054 0.471
14 O 0.500 0.471 0.054
15 O 0.700 0.696 0.696
16 O 0.746 0.215 0.758
17 O 0.746 0.758 0.215
18 O 0.757 0.257 0.257

Properties
Energy relative to the elements: -1.89 eV per atom


A plane-wave DFT calculation with GGA-PBE was carried out for KMg6Mo after structural relaxation.

a b c (Å): 6.584 6.584 4.364
angles (deg): 90.00 90.00 90.00
Fractional coordinates of all 8 atoms:
1 K 0.000 0.000 0.000
2 Mg 0.000 0.500 0.000
3 Mg 0.285 0.285 0.500
4 Mg 0.285 0.715 0.500
5 Mg 0.500 0.000 0.000
6 Mg 0.715 0.285 0.500
7 Mg 0.715 0.715 0.500
8 Mo 0.500 0.500 0.000

Properties
Energy relative to the lowest polymorph listed for this composition: 0 meV per atom
Energy relative to the elements: 0.34 eV per atom


A plane-wave DFT calculation with GGA-PBE was carried out for Na2ScNb3Si4S2O24 after structural relaxation.

a b c (Å): 8.897 8.908 23.121
angles (deg): 89.35 89.78 60.13
Fractional coordinates of all 108 atoms:
1 Na 0.000 0.000 0.000
2 Na 0.001 0.008 0.501
3 Na 0.323 0.330 0.668
4 Na 0.337 0.338 0.164
5 Na 0.659 0.673 0.326
6 Na 0.669 0.672 0.832
7 Sc 0.338 0.313 0.520
8 Sc 0.670 0.657 0.188
9 Sc 0.686 0.662 0.692
10 Nb 0.009 0.992 0.354
11 Nb 0.015 0.000 0.650
12 Nb 0.015 0.979 0.859
13 Nb 0.328 0.330 0.815
14 Nb 0.342 0.334 0.020
15 Nb 0.363 0.318 0.312
16 Nb 0.671 0.650 0.478
17 Nb 0.688 0.650 0.977
18 Nb 0.995 0.982 0.144
19 Si 0.008 0.705 0.752
20 Si 0.055 0.321 0.919
21 Si 0.295 0.706 0.251
22 Si 0.300 0.992 0.754
23 Si 0.339 0.039 0.418
24 Si 0.347 0.610 0.916
25 Si 0.622 0.043 0.917
26 Si 0.630 0.320 0.420
27 Si 0.672 0.374 0.086
28 Si 0.722 0.984 0.252
29 Si 0.961 0.651 0.086
30 Si 0.964 0.373 0.587
31 S 0.009 0.281 0.251
32 S 0.049 0.618 0.418
33 S 0.381 0.952 0.084
34 S 0.382 0.662 0.585
35 S 0.675 0.949 0.585
36 S 0.718 0.281 0.751
37 O 0.024 0.796 0.411
38 O 0.027 0.157 0.909
39 O 0.028 0.809 0.694
40 O 0.036 0.175 0.200
41 O 0.124 0.514 0.366
42 O 0.140 0.358 0.861
43 O 0.151 0.543 0.470
44 O 0.155 0.348 0.579
45 O 0.155 0.487 0.075
46 O 0.166 0.298 0.260
47 O 0.169 0.807 0.195
48 O 0.171 0.027 0.695
49 O 0.171 0.801 0.911
50 O 0.173 0.296 0.975
51 O 0.176 0.007 0.406
52 O 0.188 0.519 0.757
53 O 0.189 0.980 0.808
54 O 0.191 0.827 0.308
55 O 0.203 0.973 0.091
56 O 0.206 0.825 0.589
57 O 0.296 0.520 0.262
58 O 0.299 0.154 0.475
59 O 0.311 0.525 0.974
60 O 0.313 0.169 0.758
61 O 0.360 0.128 0.078
62 O 0.360 0.512 0.577
63 O 0.364 0.138 0.361
64 O 0.370 0.494 0.860
65 O 0.459 0.846 0.032
66 O 0.464 0.691 0.531
67 O 0.480 0.819 0.745
68 O 0.484 0.643 0.636
69 O 0.484 0.680 0.249
70 O 0.484 0.876 0.137
71 O 0.502 0.136 0.860
72 O 0.509 0.357 0.361
73 O 0.510 0.338 0.075
74 O 0.510 0.639 0.926
75 O 0.514 0.847 0.428
76 O 0.523 0.124 0.579
77 O 0.530 0.167 0.258
78 O 0.532 0.163 0.974
79 O 0.542 0.299 0.476
80 O 0.547 0.291 0.754
81 O 0.635 0.488 0.143
82 O 0.642 0.853 0.927
83 O 0.648 0.870 0.637
84 O 0.650 0.498 0.427
85 O 0.696 0.471 0.028
86 O 0.696 0.843 0.532
87 O 0.698 0.452 0.744
88 O 0.699 0.820 0.249
89 O 0.805 0.172 0.698
90 O 0.808 0.024 0.194
91 O 0.814 0.023 0.908
92 O 0.823 0.198 0.803
93 O 0.824 0.159 0.408
94 O 0.836 0.963 0.589
95 O 0.836 0.980 0.308
96 O 0.837 0.474 0.528
97 O 0.840 0.688 0.027
98 O 0.841 0.684 0.749
99 O 0.852 0.181 0.093
100 O 0.853 0.451 0.249
101 O 0.863 0.487 0.641
102 O 0.865 0.497 0.925
103 O 0.869 0.642 0.425
104 O 0.876 0.630 0.143
105 O 0.975 0.179 0.591
106 O 0.985 0.827 0.091
107 O 0.986 0.828 0.807
108 O 0.988 0.194 0.305

Properties
Energy relative to the elements: -2.84 eV per atom


A plane-wave DFT calculation with GGA-PBE was carried out for Cs3BAsP after structural relaxation.

a b c (Å): 7.087 7.087 10.077
angles (deg): 104.32 104.32 89.18
Fractional coordinates of all 12 atoms:
1 Cs 0.053 0.947 0.500
2 Cs 0.139 0.450 0.769
3 Cs 0.450 0.139 0.269
4 Cs 0.536 0.642 0.539
5 Cs 0.642 0.536 0.039
6 Cs 0.947 0.053 0.000
7 B 0.082 0.502 0.271
8 B 0.502 0.082 0.771
9 As 0.192 0.637 0.165
10 As 0.637 0.192 0.665
11 P 0.377 0.976 0.868
12 P 0.976 0.377 0.368

Properties
Energy relative to the elements: -0.37 eV per atom


A plane-wave DFT calculation with GGA-PBE was carried out for Rh after structural relaxation.

a b c (Å): 2.724 2.724 8.871
angles (deg): 90.00 90.00 120.00
Fractional coordinates of all 4 atoms:
1 Rh 0.000 0.000 0.000
2 Rh 0.000 0.000 0.500
3 Rh 0.333 0.667 0.250
4 Rh 0.667 0.333 0.750

Properties
Energy relative to the lowest polymorph listed for this composition: 40 meV per atom
Energy relative to the elements: 0.04 eV per atom


A plane-wave DFT calculation with GGA-PBE was carried out for K4SrSi3O9 after structural relaxation.

a b c (Å): 11.137 7.250 7.250
angles (deg): 67.49 90.00 90.00
Fractional coordinates of all 34 atoms:
1 K 0.000 0.000 0.000
2 K 0.000 0.445 0.445
3 K 0.250 0.720 0.272
4 K 0.250 0.842 0.736
5 K 0.500 0.000 0.000
6 K 0.500 0.445 0.445
7 K 0.750 0.272 0.720
8 K 0.750 0.736 0.842
9 Sr 0.250 0.226 0.246
10 Sr 0.750 0.246 0.226
11 Si 0.031 0.519 0.908
12 Si 0.250 0.311 0.761
13 Si 0.469 0.519 0.908
14 Si 0.531 0.908 0.519
15 Si 0.750 0.761 0.311
16 Si 0.969 0.908 0.519
17 O 0.000 0.759 0.759
18 O 0.090 0.948 0.386
19 O 0.102 0.527 0.099
20 O 0.129 0.446 0.771
21 O 0.250 0.100 0.952
22 O 0.250 0.299 0.543
23 O 0.371 0.446 0.771
24 O 0.398 0.527 0.099
25 O 0.410 0.948 0.386
26 O 0.500 0.759 0.759
27 O 0.590 0.386 0.948
28 O 0.602 0.099 0.527
29 O 0.629 0.771 0.446
30 O 0.750 0.543 0.299
31 O 0.750 0.952 0.100
32 O 0.871 0.771 0.446
33 O 0.898 0.099 0.527
34 O 0.910 0.386 0.948

Properties
Energy relative to the elements: -2.91 eV per atom


A plane-wave DFT calculation with GGA-PBE was carried out for InH8C4NO10 after structural relaxation.

a b c (Å): 9.102 9.102 11.653
angles (deg): 90.00 90.00 120.00
Fractional coordinates of all 72 atoms:
1 In 0.000 0.500 0.167
2 In 0.500 0.000 0.500
3 In 0.500 0.500 0.833
4 H 0.025 0.103 0.781
5 H 0.025 0.922 0.552
6 H 0.078 0.103 0.219
7 H 0.078 0.975 0.115
8 H 0.099 0.357 0.678
9 H 0.099 0.742 0.655
10 H 0.103 0.025 0.885
11 H 0.103 0.078 0.448
12 H 0.258 0.357 0.322
13 H 0.258 0.901 0.012
14 H 0.357 0.099 0.988
15 H 0.357 0.258 0.345
16 H 0.643 0.742 0.345
17 H 0.643 0.901 0.988
18 H 0.742 0.099 0.012
19 H 0.742 0.643 0.322
20 H 0.897 0.922 0.448
21 H 0.897 0.975 0.885
22 H 0.901 0.258 0.655
23 H 0.901 0.643 0.678
24 H 0.922 0.025 0.115
25 H 0.922 0.897 0.219
26 H 0.975 0.078 0.552
27 H 0.975 0.897 0.781
28 C 0.213 0.427 0.000
29 C 0.213 0.787 0.333
30 C 0.312 0.623 0.000
31 C 0.312 0.688 0.333
32 C 0.377 0.688 0.667
33 C 0.427 0.213 0.667
34 C 0.573 0.787 0.667
35 C 0.623 0.312 0.667
36 C 0.688 0.312 0.333
37 C 0.688 0.377 0.000
38 C 0.787 0.213 0.333
39 C 0.787 0.573 0.000
40 N 0.000 0.000 0.167
41 N 0.000 0.000 0.500
42 N 0.000 0.000 0.833
43 O 0.000 0.243 0.667
44 O 0.000 0.757 0.667
45 O 0.082 0.351 0.062
46 O 0.082 0.731 0.272
47 O 0.243 0.000 0.000
48 O 0.243 0.243 0.333
49 O 0.245 0.550 0.278
50 O 0.245 0.695 0.055
51 O 0.269 0.351 0.938
52 O 0.269 0.918 0.395
53 O 0.305 0.550 0.722
54 O 0.305 0.755 0.612
55 O 0.351 0.082 0.605
56 O 0.351 0.269 0.728
57 O 0.450 0.695 0.945
58 O 0.450 0.755 0.388
59 O 0.550 0.245 0.388
60 O 0.550 0.305 0.945
61 O 0.649 0.731 0.728
62 O 0.649 0.918 0.605
63 O 0.695 0.245 0.612
64 O 0.695 0.450 0.722
65 O 0.731 0.082 0.395
66 O 0.731 0.649 0.938
67 O 0.755 0.305 0.055
68 O 0.755 0.450 0.278
69 O 0.757 0.000 0.000
70 O 0.757 0.757 0.333
71 O 0.918 0.269 0.272
72 O 0.918 0.649 0.062

Properties
Energy relative to the elements: -1.33 eV per atom


A plane-wave DFT calculation with GGA-PBE was carried out for CaH2F4 after structural relaxation.

a b c (Å): 7.384 6.029 5.837
angles (deg): 76.95 52.69 50.36
Fractional coordinates of all 14 atoms:
1 Ca 0.125 0.125 0.125
2 Ca 0.875 0.875 0.875
3 H 0.256 0.256 0.494
4 H 0.494 0.494 0.256
5 H 0.506 0.506 0.744
6 H 0.744 0.744 0.506
7 F 0.165 0.349 0.724
8 F 0.262 0.724 0.349
9 F 0.276 0.738 0.835
10 F 0.349 0.165 0.262
11 F 0.651 0.835 0.738
12 F 0.724 0.262 0.165
13 F 0.738 0.276 0.651
14 F 0.835 0.651 0.276

Properties
Energy relative to the elements: -2.88 eV per atom


A plane-wave DFT calculation with GGA-PBE was carried out for SnBi after structural relaxation.

a b c (Å): 4.686 4.686 4.686
angles (deg): 97.09 97.09 138.87
Fractional coordinates of all 2 atoms:
1 Sn 0.000 0.000 0.000
2 Bi 0.250 0.750 0.500

Properties
Energy relative to the elements: 0.06 eV per atom


A plane-wave DFT calculation with GGA-PBE was carried out for NaY3 after structural relaxation.

a b c (Å): 5.673 5.673 5.673
angles (deg): 60.00 60.00 60.00
Fractional coordinates of all 4 atoms:
1 Na 0.000 0.000 0.000
2 Y 0.250 0.250 0.250
3 Y 0.500 0.500 0.500
4 Y 0.750 0.750 0.750

Properties
Energy relative to the lowest polymorph listed for this composition: 11 meV per atom
Energy relative to the elements: 0.31 eV per atom


A plane-wave DFT calculation with GGA-PBE was carried out for KPAuSe3 after structural relaxation.

a b c (Å): 7.240 7.240 8.241
angles (deg): 110.93 110.93 61.51
Fractional coordinates of all 12 atoms:
1 K 0.202 0.202 0.245
2 K 0.798 0.798 0.755
3 P 0.476 0.476 0.850
4 P 0.524 0.524 0.150
5 Au 0.243 0.757 0.500
6 Au 0.757 0.243 0.500
7 Se 0.177 0.678 0.175
8 Se 0.286 0.286 0.702
9 Se 0.322 0.823 0.825
10 Se 0.678 0.177 0.175
11 Se 0.714 0.714 0.298
12 Se 0.823 0.322 0.825

Properties
Energy relative to the elements: -0.70 eV per atom


A plane-wave DFT calculation with GGA-PBE was carried out for LiCu6OF11 after structural relaxation.

a b c (Å): 4.798 5.375 8.594
angles (deg): 85.66 88.24 89.84
Fractional coordinates of all 19 atoms:
1 Li 0.000 0.000 0.000
2 Cu 0.012 0.384 0.184
3 Cu 0.018 0.625 0.812
4 Cu 0.056 0.007 0.457
5 Cu 0.499 0.140 0.814
6 Cu 0.501 0.893 0.186
7 Cu 0.517 0.512 0.500
8 O 0.186 0.077 0.242
9 F 0.184 0.322 0.908
10 F 0.221 0.708 0.582
11 F 0.310 0.836 0.907
12 F 0.315 0.210 0.571
13 F 0.315 0.586 0.252
14 F 0.694 0.449 0.747
15 F 0.703 0.182 0.091
16 F 0.723 0.808 0.422
17 F 0.805 0.317 0.417
18 F 0.821 0.692 0.099
19 F 0.837 0.953 0.774

Properties
Energy relative to the lowest polymorph listed for this composition: 12 meV per atom
Energy relative to the elements: -1.79 eV per atom


A plane-wave DFT calculation with GGA-PBE was carried out for K3Ir after structural relaxation.

a b c (Å): 7.602 7.602 5.542
angles (deg): 90.00 90.00 120.00
Fractional coordinates of all 8 atoms:
1 K 0.187 0.374 0.250
2 K 0.187 0.813 0.250
3 K 0.374 0.187 0.750
4 K 0.626 0.813 0.250
5 K 0.813 0.187 0.750
6 K 0.813 0.626 0.750
7 Ir 0.333 0.667 0.750
8 Ir 0.667 0.333 0.250

Properties
Energy relative to the lowest polymorph listed for this composition: 16 meV per atom
Energy relative to the elements: 0.74 eV per atom